Below is a relaxed structure of TlCoCl3, with properties calculated at the PBE level.

Unit cell a=5.8893 b=12.2002 c=14.0164 alpha=90.00 beta=90.00 gamma=90.00
Positions (direct):
Cl (0.2053, 0.1716, 0.4944)
Cl (0.2053, 0.6716, 0.0056)
Cl (0.7055, 0.0915, 0.3747)
Cl (0.7053, 0.8284, 0.0056)
Cl (0.7053, 0.3284, 0.4944)
Cl (0.7947, 0.3284, 0.9944)
Cl (0.2055, 0.9085, 0.1253)
Cl (0.2959, 0.1711, 0.7559)
Cl (0.7945, 0.0915, 0.8747)
Cl (0.7041, 0.3289, 0.2559)
Cl (0.2041, 0.6711, 0.2441)
Cl (0.2041, 0.1711, 0.2559)
Cl (0.7945, 0.5915, 0.6253)
Cl (0.2945, 0.9085, 0.6253)
Cl (0.7959, 0.3289, 0.7559)
Cl (0.7947, 0.8284, 0.5056)
Cl (0.7055, 0.5915, 0.1253)
Cl (0.7041, 0.8289, 0.2441)
Cl (0.2947, 0.6716, 0.5056)
Cl (0.7959, 0.8289, 0.7441)
Cl (0.2947, 0.1716, 0.9944)
Cl (0.2959, 0.6711, 0.7441)
Cl (0.2055, 0.4085, 0.3747)
Cl (0.2945, 0.4085, 0.8747)
Co (0.5428, 0.7503, 0.6255)
Co (0.4572, 0.2497, 0.3745)
Co (0.0428, 0.2497, 0.8745)
Co (0.4572, 0.7497, 0.1255)
Co (0.5428, 0.2503, 0.8745)
Co (0.9572, 0.2503, 0.3745)
Co (0.9572, 0.7503, 0.1255)
Co (0.0428, 0.7497, 0.6255)
Tl (0.2493, 0.4185, 0.1232)
Tl (0.2507, 0.4185, 0.6232)
Tl (0.7493, 0.0815, 0.1232)
Tl (0.7507, 0.5815, 0.8768)
Tl (0.2507, 0.9185, 0.8768)
Tl (0.7493, 0.5815, 0.3768)
Tl (0.7507, 0.0815, 0.6232)
Tl (0.2493, 0.9185, 0.3768)

Summary:
Symmetry: Pbca (61)
Energy of formation in eV per atom: -1.124
Calculated volume in Å³/cell: 1007.09



Below is a relaxed structure of TlCoCl3, with properties calculated at the PBE level.

Unit cell a=7.0492 b=7.0491 c=5.9145 alpha=89.88 beta=90.13 gamma=120.12
Positions (direct):
Cl (0.8413, 0.6846, 0.2522)
Cl (0.8399, 0.1601, 0.2472)
Cl (0.3154, 0.1587, 0.2522)
Cl (0.6846, 0.8413, 0.7478)
Cl (0.1601, 0.8399, 0.7528)
Cl (0.1587, 0.3154, 0.7478)
Co (0.0000, 0.0000, 0.0000)
Co (0.0000, 0.0000, 0.5000)
Tl (0.6710, 0.3290, 0.7415)
Tl (0.3290, 0.6710, 0.2585)

Summary:
Spin magnetization in μB/atom: 0.60
Symmetry: C2/m (12)
Energy of formation in eV per atom: -1.127
Calculated volume in Å³/cell: 254.21



Below is a relaxed structure of TlCoCl3, with properties calculated at the PBE level.

Unit cell a=12.1549 b=12.1549 c=5.8912 alpha=90.00 beta=90.00 gamma=120.00
Positions (direct):
Cl (0.3332, 0.8250, 0.2874)
Cl (0.3332, 0.5081, 0.7874)
Cl (0.0000, 0.1585, 0.2115)
Cl (0.5081, 0.3332, 0.7874)
Cl (0.0000, 0.8415, 0.7115)
Cl (0.8415, 0.0000, 0.7115)
Cl (0.1585, 0.1585, 0.7115)
Cl (0.8250, 0.4919, 0.7874)
Cl (0.1585, 0.0000, 0.2115)
Cl (0.5081, 0.1750, 0.2874)
Cl (0.1750, 0.6668, 0.7874)
Cl (0.6668, 0.4919, 0.2874)
Cl (0.6668, 0.1750, 0.7874)
Cl (0.1750, 0.5081, 0.2874)
Cl (0.8415, 0.8415, 0.2115)
Cl (0.4919, 0.8250, 0.7874)
Cl (0.4919, 0.6668, 0.2874)
Cl (0.8250, 0.3332, 0.2874)
Co (0.6667, 0.3333, 0.0356)
Co (0.0000, 0.0000, 0.4637)
Co (0.0000, 0.0000, 0.9637)
Co (0.3333, 0.6667, 0.0356)
Co (0.6667, 0.3333, 0.5356)
Co (0.3333, 0.6667, 0.5356)
Tl (0.3334, 0.3334, 0.2506)
Tl (0.6666, 0.0000, 0.2506)
Tl (0.0000, 0.3334, 0.7506)
Tl (0.0000, 0.6666, 0.2506)
Tl (0.3334, 0.0000, 0.7506)
Tl (0.6666, 0.6666, 0.7506)

Summary:
Spin magnetization in μB/atom: 0.60
Symmetry: P6_3cm (185)
Energy of formation in eV per atom: -1.006
Calculated volume in Å³/cell: 753.77